The following is a r²SCAN calculation of a relaxed SmAlGa crystal, from Materials Project.

Unit cell a=4.272 b=4.272 c=4.243 alpha=90.00 beta=90.00 gamma=120.00
Fractional positions:
Sm 0.333 0.667 0.000
Al 0.667 0.333 0.500
Ga 0.000 0.000 0.500

Calculated values
Electronic total energy: -49.97 eV for the cell shown
Magnetic moment: 0.000 μB per cell

=====

The following is a r²SCAN calculation of a relaxed AlV6Ga crystal, from Materials Project.

Unit cell a=4.775 b=4.775 c=4.775 alpha=90.00 beta=90.00 gamma=90.00
Fractional positions:
Al 0.500 0.500 0.500
V 0.500 0.748 0.000
V 0.252 0.000 0.500
V 0.000 0.500 0.748
V 0.500 0.252 0.000
V 0.748 0.000 0.500
V 0.000 0.500 0.252
Ga 0.000 0.000 0.000

Calculated values
Electronic total energy: -104.32 eV for the cell shown
Magnetic moment: 3.332 μB per cell

=====

The following is a r²SCAN calculation of a relaxed YbAlGa crystal, from Materials Project.

Unit cell a=4.384 b=4.384 c=6.942 alpha=90.00 beta=90.00 gamma=120.00
Fractional positions:
Yb 0.000 0.000 0.500
Yb 0.000 0.000 0.000
Al 0.333 0.667 0.250
Al 0.667 0.333 0.750
Ga 0.333 0.667 0.750
Ga 0.667 0.333 0.250

Calculated values
Electronic total energy: -113.07 eV for the cell shown
Magnetic moment: 0.000 μB per cell

=====

The following is a r²SCAN calculation of a relaxed GdAl3 crystal, from Materials Project.

Unit cell a=6.325 b=6.326 c=4.589 alpha=90.00 beta=90.00 gamma=119.99
Fractional positions:
Gd 0.667 0.333 0.250
Gd 0.333 0.667 0.750
Al 0.856 0.144 0.750
Al 0.288 0.144 0.750
Al 0.856 0.712 0.750
Al 0.144 0.856 0.250
Al 0.712 0.856 0.250
Al 0.144 0.288 0.250

Calculated values
Electronic total energy: -130.82 eV for the cell shown
Magnetic moment: 14.264 μB per cell

=====

The following is a r²SCAN calculation of a relaxed GdAl2 crystal, from Materials Project.

Unit cell a=5.575 b=5.575 c=5.575 alpha=60.00 beta=60.00 gamma=60.00
Fractional positions:
Gd 0.875 0.875 0.875
Gd 0.125 0.125 0.125
Al 0.500 0.500 0.500
Al 0.500 0.500 0.000
Al 0.000 0.500 0.500
Al 0.500 0.000 0.500

Calculated values
Electronic total energy: -117.15 eV for the cell shown
Magnetic moment: 15.142 μB per cell

=====

The following is a r²SCAN calculation of a relaxed GdAl crystal, from Materials Project.

Unit cell a=3.628 b=3.628 c=3.628 alpha=90.00 beta=90.00 gamma=90.00
Fractional positions:
Gd 0.000 0.000 0.000
Al 0.500 0.500 0.500

Calculated values
Electronic total energy: -50.87 eV for the cell shown
Magnetic moment: 7.113 μB per cell

=====

The following is a r²SCAN calculation of a relaxed GdAl crystal, from Materials Project.

Unit cell a=5.590 b=5.916 c=5.916 alpha=101.60 beta=90.00 gamma=90.00
Fractional positions:
Gd 0.250 0.968 0.338
Gd 0.750 0.662 0.032
Gd 0.750 0.032 0.662
Gd 0.250 0.338 0.968
Al 0.500 0.500 0.500
Al 0.000 0.500 0.500
Al 0.250 0.809 0.809
Al 0.750 0.191 0.191

Calculated values
Electronic total energy: -203.95 eV for the cell shown
Magnetic moment: 30.167 μB per cell

=====

The following is a r²SCAN calculation of a relaxed GdAlGe crystal, from Materials Project.

Unit cell a=5.661 b=5.661 c=5.790 alpha=90.00 beta=90.00 gamma=138.09
Fractional positions:
Gd 0.689 0.311 0.250
Gd 0.311 0.689 0.750
Al 0.000 0.000 0.500
Al 0.000 0.000 0.000
Ge 0.396 0.604 0.250
Ge 0.604 0.396 0.750

Calculated values
Electronic total energy: -132.09 eV for the cell shown
Magnetic moment: 14.194 μB per cell

=====

The following is a r²SCAN calculation of a relaxed Gd2Al9Ir3 crystal, from Materials Project.

Unit cell a=7.521 b=7.521 c=9.465 alpha=90.00 beta=90.00 gamma=119.43
Fractional positions:
Gd 0.005 0.329 0.750
Gd 0.329 0.005 0.750
Gd 0.671 0.995 0.250
Gd 0.995 0.671 0.250
Al 0.998 0.665 0.574
Al 0.002 0.335 0.074
Al 0.335 0.002 0.426
Al 0.661 0.453 0.750
Al 0.665 0.998 0.574
Al 0.666 0.666 0.048
Al 0.334 0.334 0.952
Al 0.666 0.666 0.452
Al 0.130 0.130 0.250
Al 0.334 0.334 0.548
Al 0.453 0.661 0.750
Al 0.547 0.339 0.250
Al 0.665 0.998 0.926
Al 0.335 0.002 0.074
Al 0.002 0.335 0.426
Al 0.870 0.870 0.750
Al 0.339 0.547 0.250
Al 0.998 0.665 0.926
Ir 0.672 0.328 0.000
Ir 0.328 0.672 0.500
Ir 0.000 0.000 0.000
Ir 0.328 0.672 0.000
Ir 0.000 0.000 0.500
Ir 0.672 0.328 0.500

Calculated values
Electronic total energy: -635.32 eV for the cell shown
Magnetic moment: 28.758 μB per cell

=====

The following is a r²SCAN calculation of a relaxed LiGd2Al crystal, from Materials Project.

Unit cell a=5.210 b=5.210 c=5.210 alpha=60.00 beta=60.00 gamma=60.00
Fractional positions:
Li 0.000 0.000 0.000
Gd 0.250 0.250 0.250
Gd 0.750 0.750 0.750
Al 0.500 0.500 0.500

Calculated values
Electronic total energy: -96.76 eV for the cell shown
Magnetic moment: 15.328 μB per cell

=====

The following is a r²SCAN calculation of a relaxed Gd2MgAl crystal, from Materials Project.

Unit cell a=5.257 b=5.257 c=5.257 alpha=60.00 beta=60.00 gamma=60.00
Fractional positions:
Gd 0.250 0.250 0.250
Gd 0.750 0.750 0.750
Mg 0.000 0.000 0.000
Al 0.500 0.500 0.500

Calculated values
Electronic total energy: -98.76 eV for the cell shown
Magnetic moment: 15.257 μB per cell

=====

The following is a r²SCAN calculation of a relaxed GdAl2Ni crystal, from Materials Project.

Unit cell a=4.021 b=5.609 c=6.861 alpha=89.97 beta=89.98 gamma=111.12
Fractional positions:
Gd 0.061 0.120 0.748
Gd 0.947 0.891 0.248
Al 0.669 0.335 0.442
Al 0.339 0.676 0.942
Al 0.339 0.676 0.554
Al 0.669 0.335 0.054
Ni 0.787 0.572 0.749
Ni 0.220 0.438 0.249

Calculated values
Electronic total energy: -142.76 eV for the cell shown
Magnetic moment: 0.000 μB per cell

=====

The following is a r²SCAN calculation of a relaxed GdAlNi4 crystal, from Materials Project.

Unit cell a=4.883 b=4.883 c=3.986 alpha=90.00 beta=90.00 gamma=118.44
Fractional positions:
Gd 0.500 0.500 0.000
Al 0.000 0.000 0.500
Ni 0.168 0.832 0.000
Ni 0.832 0.168 0.000
Ni 0.000 0.500 0.500
Ni 0.500 0.000 0.500

Calculated values
Electronic total energy: -100.85 eV for the cell shown
Magnetic moment: 7.126 μB per cell

=====

The following is a r²SCAN calculation of a relaxed GdAlNi crystal, from Materials Project.

Unit cell a=3.903 b=6.971 c=6.977 alpha=119.98 beta=90.00 gamma=90.00
Fractional positions:
Gd 0.500 0.581 0.000
Gd 0.500 0.419 0.419
Gd 0.500 0.000 0.581
Al 0.000 0.231 0.000
Al 0.000 0.769 0.769
Al 0.000 0.000 0.231
Ni 0.500 0.001 0.000
Ni 0.000 0.333 0.666
Ni 0.000 0.667 0.334

Calculated values
Electronic total energy: -191.22 eV for the cell shown
Magnetic moment: 7.385 μB per cell

=====

The following is a r²SCAN calculation of a relaxed GdAl9Ni3 crystal, from Materials Project.

Unit cell a=10.011 b=10.011 c=10.011 alpha=42.44 beta=42.44 gamma=42.44
Fractional positions:
Gd 0.167 0.167 0.167
Gd 0.833 0.833 0.833
Al 0.052 0.052 0.052
Al 0.708 0.500 0.292
Al 0.666 0.334 0.000
Al 0.103 0.432 0.761
Al 0.432 0.761 0.103
Al 0.387 0.387 0.387
Al 0.334 0.000 0.666
Al 0.613 0.613 0.613
Al 0.239 0.568 0.897
Al 0.568 0.897 0.239
Al 0.500 0.292 0.708
Al 0.761 0.103 0.432
Al 0.948 0.948 0.948
Al 0.292 0.708 0.500
Al 0.000 0.666 0.334
Al 0.718 0.718 0.718
Al 0.282 0.282 0.282
Al 0.897 0.239 0.568
Ni 0.243 0.922 0.582
Ni 0.922 0.582 0.243
Ni 0.757 0.418 0.078
Ni 0.078 0.757 0.418
Ni 0.418 0.078 0.757
Ni 0.582 0.243 0.922

Calculated values
Electronic total energy: -294.06 eV for the cell shown
Magnetic moment: 14.236 μB per cell

=====

The following is a r²SCAN calculation of a relaxed GdAl3Ni2 crystal, from Materials Project.

Unit cell a=9.022 b=9.022 c=4.042 alpha=90.00 beta=90.00 gamma=120.00
Fractional positions:
Gd 0.333 0.667 0.500
Gd 0.667 0.333 0.500
Gd 0.000 0.000 0.000
Al 0.500 0.000 0.000
Al 0.000 0.500 0.000
Al 0.500 0.500 0.000
Al 0.297 0.000 0.500
Al 0.703 0.000 0.500
Al 0.000 0.297 0.500
Al 0.000 0.703 0.500
Al 0.703 0.703 0.500
Al 0.297 0.297 0.500
Ni 0.181 0.361 0.000
Ni 0.819 0.639 0.000
Ni 0.639 0.819 0.000
Ni 0.361 0.181 0.000
Ni 0.181 0.819 0.000
Ni 0.819 0.181 0.000

Calculated values
Electronic total energy: -274.55 eV for the cell shown
Magnetic moment: 21.760 μB per cell

=====

The following is a r²SCAN calculation of a relaxed GdAlPd crystal, from Materials Project.

Unit cell a=7.089 b=7.089 c=4.176 alpha=90.00 beta=90.00 gamma=120.00
Fractional positions:
Gd 0.000 0.582 0.500
Gd 0.418 0.418 0.500
Gd 0.582 0.000 0.500
Al 0.769 0.769 0.000
Al 0.231 0.000 0.000
Al 0.000 0.231 0.000
Pd 0.333 0.667 0.000
Pd 0.667 0.333 0.000
Pd 0.000 0.000 0.500

Calculated values
Electronic total energy: -226.95 eV for the cell shown
Magnetic moment: 22.362 μB per cell

=====

The following is a r²SCAN calculation of a relaxed GdAl3Pd2 crystal, from Materials Project.

Unit cell a=5.398 b=5.398 c=4.193 alpha=90.00 beta=90.00 gamma=120.00
Fractional positions:
Gd 0.000 0.000 0.000
Al 0.500 0.000 0.500
Al 0.500 0.500 0.500
Al 0.000 0.500 0.500
Pd 0.667 0.333 0.000
Pd 0.333 0.667 0.000

Calculated values
Electronic total energy: -114.81 eV for the cell shown
Magnetic moment: 7.174 μB per cell

=====

The following is a r²SCAN calculation of a relaxed Gd2Al9Rh3 crystal, from Materials Project.

Unit cell a=7.517 b=7.517 c=9.467 alpha=90.00 beta=90.00 gamma=119.29
Fractional positions:
Gd 0.995 0.672 0.250
Gd 0.005 0.328 0.750
Gd 0.672 0.995 0.250
Gd 0.328 0.005 0.750
Al 0.130 0.130 0.250
Al 0.870 0.870 0.750
Al 0.002 0.336 0.074
Al 0.998 0.664 0.926
Al 0.998 0.664 0.574
Al 0.336 0.002 0.426
Al 0.002 0.336 0.426
Al 0.664 0.998 0.574
Al 0.664 0.998 0.926
Al 0.336 0.002 0.074
Al 0.334 0.334 0.546
Al 0.666 0.666 0.454
Al 0.666 0.666 0.046
Al 0.334 0.334 0.954
Al 0.340 0.549 0.250
Al 0.660 0.451 0.750
Al 0.549 0.340 0.250
Al 0.451 0.660 0.750
Rh 0.672 0.328 0.000
Rh 0.328 0.672 0.000
Rh 0.328 0.672 0.500
Rh 0.672 0.328 0.500
Rh 0.000 0.000 0.000
Rh 0.000 0.000 0.500

Calculated values
Electronic total energy: -464.26 eV for the cell shown
Magnetic moment: 28.739 μB per cell

=====

The following is a r²SCAN calculation of a relaxed GdAlRh crystal, from Materials Project.

Unit cell a=4.192 b=6.930 c=7.989 alpha=90.00 beta=90.00 gamma=90.00
Fractional positions:
Gd 0.250 0.538 0.180
Gd 0.750 0.462 0.820
Gd 0.750 0.962 0.680
Gd 0.250 0.038 0.320
Al 0.250 0.633 0.560
Al 0.750 0.367 0.440
Al 0.750 0.867 0.060
Al 0.250 0.133 0.940
Rh 0.250 0.767 0.881
Rh 0.750 0.233 0.119
Rh 0.750 0.733 0.381
Rh 0.250 0.267 0.619

Calculated values
Electronic total energy: -308.00 eV for the cell shown
Magnetic moment: 29.056 μB per cell

=====

The following is a r²SCAN calculation of a relaxed GdYAl4 crystal, from Materials Project.

Unit cell a=5.563 b=5.563 c=5.563 alpha=60.00 beta=60.00 gamma=60.00
Fractional positions:
Gd 0.250 0.250 0.250
Y 0.000 0.000 0.000
Al 0.625 0.625 0.125
Al 0.625 0.125 0.625
Al 0.125 0.625 0.625
Al 0.625 0.625 0.625

Calculated values
Electronic total energy: -94.08 eV for the cell shown
Magnetic moment: 7.931 μB per cell

=====

The following is a r²SCAN calculation of a relaxed Gd2AlZn crystal, from Materials Project.

Unit cell a=5.119 b=5.119 c=5.119 alpha=60.00 beta=60.00 gamma=60.00
Fractional positions:
Gd 0.250 0.250 0.250
Gd 0.750 0.750 0.750
Al 0.500 0.500 0.500
Zn 0.000 0.000 0.000

Calculated values
Electronic total energy: -103.93 eV for the cell shown
Magnetic moment: 14.949 μB per cell

=====

The following is a r²SCAN calculation of a relaxed GdAlZn crystal, from Materials Project.

Unit cell a=4.498 b=4.499 c=7.184 alpha=90.01 beta=89.99 gamma=119.99
Fractional positions:
Gd 0.000 0.000 0.500
Gd 0.000 0.000 0.000
Al 0.333 0.667 0.250
Al 0.667 0.333 0.750
Zn 0.333 0.667 0.750
Zn 0.667 0.333 0.250

Calculated values
Electronic total energy: -120.91 eV for the cell shown
Magnetic moment: 15.184 μB per cell